This record from Materials Project describes a relaxed ScCd7 crystal. The functional is r2SCAN.

DFT formation energy in meV per atom: -125
E in eV per atom: -19.142
Magnetic moment in μB per formula unit: 0.0

Unit cell a=7.3252 b=10.0985 c=9.3175 alpha=90.00 beta=90.00 gamma=90.00
Closest atoms and distances in Å follow each position.
Space group Cmcm (No. 63)
Inequivalent atoms, fractional coordinates:
Sc 0.0000 0.0215 0.2500 [4 per cell]  12 Cd 3.12-3.19
Cd 0.0000 0.2088 0.5179 [8 per cell]  9 Cd 2.99-3.32, 2 Sc 3.13-3.18
Cd 0.0000 0.4128 0.7500 [4 per cell]  10 Cd 2.93-3.25
Cd 0.2019 0.3009 0.2500 [8 per cell]  9 Cd 2.96-3.25, 2 Sc 3.12-3.19
Cd 0.2098 0.5000 0.0000 [8 per cell]  7 Cd 2.93-3.08, 2 Sc 3.16



This record from Materials Project describes a relaxed Sc2TlCd crystal. The functional is r2SCAN.

DFT formation energy in meV per atom: -344
E in eV per atom: -24.365
Magnetic moment in μB per formula unit: 0.9

Unit cell a=7.1002 b=7.1002 c=7.1002 alpha=90.00 beta=90.00 gamma=90.00
Closest atoms and distances in Å follow each position.
Space group Fm-3m (No. 225)
Inequivalent atoms, fractional coordinates:
Sc 0.2500 0.2500 0.2500 [8 per cell]  4 Cd 3.07, 4 Tl 3.07
Tl 0.0000 0.0000 0.0000 [4 per cell]  8 Sc 3.07
Cd 0.0000 0.0000 0.5000 [4 per cell]  8 Sc 3.07



> Among the records above, which one has the highest E?

ScCd7